VASP calculation (GGA+U) on an optimized crystal structure of Ta2Zn2CrO8.

Summary:
Uncorrected energy in Ha/atom: -0.2895
Spin magnetization in μB per cell: 0.0
ΔH_f (0 K) in eV/f.u.: -34.4

Structure (POSCAR):
```
Ta2Zn2CrO8
1.0
-0.064 5.798 -1.625
-0.051 0.220 10.141
10.571 -0.121 -0.107
Cr Zn O Ta
4 8 32 8
Direct
0.354 0.002 0.122
0.354 0.002 0.622
0.644 0.998 0.875
0.644 0.998 0.375
0.869 0.442 0.864
0.435 0.565 0.382
0.562 0.435 0.115
0.562 0.436 0.615
0.435 0.565 0.882
0.129 0.558 0.133
0.129 0.558 0.633
0.869 0.442 0.364
0.711 0.122 0.534
0.919 0.641 0.034
0.017 0.852 0.222
0.558 0.883 0.205
0.154 0.612 0.819
0.287 0.361 0.214
0.450 0.613 0.570
0.558 0.883 0.704
0.017 0.852 0.722
0.202 0.146 0.029
0.843 0.388 0.678
0.711 0.122 0.034
0.202 0.146 0.529
0.980 0.148 0.776
0.980 0.148 0.276
0.079 0.359 0.464
0.843 0.388 0.178
0.919 0.641 0.534
0.287 0.878 0.963
0.439 0.117 0.793
0.796 0.855 0.968
0.547 0.387 0.428
0.079 0.359 0.964
0.287 0.361 0.714
0.287 0.878 0.463
0.439 0.117 0.293
0.547 0.387 0.928
0.154 0.612 0.319
0.796 0.855 0.468
0.450 0.613 0.070
0.711 0.640 0.784
0.711 0.639 0.284
0.718 0.764 0.634
0.030 0.766 0.386
0.279 0.236 0.363
0.030 0.766 0.886
0.718 0.764 0.134
0.968 0.235 0.111
0.279 0.236 0.863
0.968 0.235 0.612
```